# 1
{"formula": "V3OF11", "functional": "PBE with a Hubbard U", "state": "optimized geometry", "lattice": [[-4.434, 0.075, -2.820], [-1.675, -4.546, 2.513], [-7.207, 5.817, 11.487]], "species": ["V", "V", "V", "V", "V", "V", "O", "O", "F", "F", "F", "F", "F", "F", "F", "F", "F", "F", "F", "F", "F", "F", "F", "F", "F", "F", "F", "F", "F", "F"], "frac_coords": [[0.250, 0.000, 0.000], [0.729, 0.117, 0.669], [0.250, 0.334, 0.333], [0.750, 0.500, 0.000], [0.271, 0.617, 0.669], [0.750, 0.834, 0.333], [0.470, 0.378, 0.689], [0.530, 0.878, 0.689], [0.445, 0.021, 0.358], [0.554, 0.187, 0.025], [0.946, 0.146, 0.308], [0.339, 0.042, 0.882], [0.679, 0.230, 0.550], [0.338, 0.375, 0.216], [0.837, 0.136, 0.782], [0.164, 0.294, 0.451], [0.838, 0.459, 0.117], [0.555, 0.521, 0.358], [0.446, 0.687, 0.025], [0.054, 0.313, 0.975], [0.974, 0.469, 0.643], [0.054, 0.646, 0.308], [0.661, 0.542, 0.882], [0.321, 0.730, 0.550], [0.662, 0.875, 0.216], [0.163, 0.636, 0.782], [0.836, 0.794, 0.451], [0.162, 0.959, 0.117], [0.946, 0.813, 0.975], [0.026, 0.969, 0.643]], "delta_e_f_ev_per_atom": -2.897, "polymorph_energy_mev_per_atom": 0.0, "energy_mp2020_ev_per_atom": -6.45, "space_group": "Pc (7)"}

# 2
{"formula": "CaY2Fe4O8", "functional": "PBE with a Hubbard U", "state": "optimized geometry", "lattice": [[-2.215, -2.811, 5.527], [2.014, -5.942, 1.984], [3.940, -1.607, 6.141]], "species": ["Ca", "Y", "Y", "Fe", "Fe", "Fe", "Fe", "O", "O", "O", "O", "O", "O", "O", "O"], "frac_coords": [[0.500, 0.500, 0.500], [0.722, 0.722, 0.577], [0.278, 0.278, 0.423], [0.000, 0.500, 0.000], [0.000, 0.000, 0.000], [0.500, 0.000, 0.000], [0.000, 0.000, 0.500], [0.293, 0.825, 0.662], [0.229, 0.229, 0.803], [0.176, 0.707, 0.337], [0.239, 0.240, 0.174], [0.771, 0.771, 0.197], [0.707, 0.175, 0.338], [0.824, 0.293, 0.663], [0.761, 0.760, 0.826]], "delta_e_f_ev_per_atom": -2.356, "energy_mp2020_ev_per_atom": -8.25, "space_group": "C2/m (12)"}

# 3
{"formula": "MgV12Zn6O24", "functional": "PBE with a Hubbard U", "state": "optimized geometry", "lattice": [[-2.354, 2.964, -4.916], [-4.469, -2.548, -3.117], [-16.699, 6.991, 0.857]], "species": ["Mg", "V", "V", "V", "V", "V", "V", "V", "V", "V", "V", "V", "V", "Zn", "Zn", "Zn", "Zn", "Zn", "Zn", "O", "O", "O", "O", "O", "O", "O", "O", "O", "O", "O", "O", "O", "O", "O", "O", "O", "O", "O", "O", "O", "O", "O", "O"], "frac_coords": [[0.499, 0.004, 0.666], [0.002, 0.498, 0.167], [0.499, 0.498, 0.167], [0.012, 0.489, 0.504], [0.499, 0.003, 0.167], [0.504, 0.500, 0.332], [0.528, 0.494, 0.493], [0.992, 0.503, 0.832], [0.528, 0.000, 0.493], [0.470, 0.001, 0.839], [0.512, 0.504, 0.662], [0.470, 0.514, 0.839], [0.858, 0.879, 0.959], [0.108, 0.126, 0.047], [0.138, 0.120, 0.374], [0.489, 0.501, 0.003], [0.028, 0.146, 0.726], [0.888, 0.873, 0.289], [0.969, 0.835, 0.618], [0.249, 0.249, 0.093], [0.260, 0.259, 0.241], [0.250, 0.722, 0.093], [0.713, 0.254, 0.092], [0.289, 0.734, 0.249], [0.269, 0.257, 0.422], [0.742, 0.281, 0.245], [0.741, 0.742, 0.091], [0.268, 0.709, 0.424], [0.284, 0.240, 0.579], [0.741, 0.738, 0.246], [0.734, 0.261, 0.415], [0.330, 0.739, 0.566], [0.248, 0.266, 0.746], [0.757, 0.249, 0.580], [0.767, 0.731, 0.425], [0.227, 0.285, 0.908], [0.254, 0.755, 0.746], [0.757, 0.756, 0.580], [0.670, 0.278, 0.762], [0.242, 0.744, 0.919], [0.731, 0.750, 0.752], [0.738, 0.276, 0.910], [0.745, 0.745, 0.909]], "delta_e_f_ev_per_atom": -2.260, "polymorph_energy_mev_per_atom": 14.2, "energy_mp2020_ev_per_atom": -7.77, "space_group": "P1 (1)"}

# 4
{"formula": "MnFe2Sb2P6O24", "functional": "PBE with a Hubbard U", "state": "optimized geometry", "lattice": [[-6.302, 3.662, 4.966], [-8.466, -2.378, -0.687], [-4.127, -4.487, 6.374]], "species": ["Mn", "Fe", "Fe", "Sb", "Sb", "P", "P", "P", "P", "P", "P", "O", "O", "O", "O", "O", "O", "O", "O", "O", "O", "O", "O", "O", "O", "O", "O", "O", "O", "O", "O", "O", "O", "O", "O"], "frac_coords": [[0.000, 0.000, 0.000], [0.853, 0.853, 0.853], [0.147, 0.147, 0.147], [0.356, 0.356, 0.356], [0.644, 0.644, 0.644], [0.037, 0.454, 0.756], [0.454, 0.756, 0.037], [0.756, 0.037, 0.454], [0.244, 0.963, 0.546], [0.546, 0.244, 0.963], [0.963, 0.546, 0.244], [0.475, 0.755, 0.849], [0.527, 0.445, 0.804], [0.804, 0.527, 0.445], [0.808, 0.005, 0.610], [0.445, 0.804, 0.527], [0.755, 0.849, 0.475], [0.005, 0.610, 0.808], [0.849, 0.475, 0.755], [0.907, 0.750, 0.102], [0.102, 0.907, 0.750], [0.750, 0.102, 0.907], [0.390, 0.192, 0.995], [0.610, 0.808, 0.005], [0.250, 0.898, 0.093], [0.898, 0.093, 0.250], [0.093, 0.250, 0.898], [0.151, 0.525, 0.245], [0.995, 0.390, 0.192], [0.245, 0.151, 0.525], [0.555, 0.196, 0.473], [0.192, 0.995, 0.390], [0.196, 0.473, 0.555], [0.473, 0.555, 0.196], [0.525, 0.245, 0.151]], "delta_e_f_ev_per_atom": -2.382, "energy_mp2020_ev_per_atom": -7.68, "space_group": "R-3 (148)"}

# 5
{"formula": "Sr7CaTi7MnO24", "functional": "PBE with a Hubbard U", "state": "optimized geometry", "lattice": [[-0.224, 7.424, 2.516], [-6.687, -1.493, 3.814], [4.088, -2.035, 6.375]], "species": ["Sr", "Sr", "Sr", "Sr", "Sr", "Sr", "Sr", "Ca", "Ti", "Ti", "Ti", "Ti", "Ti", "Ti", "Ti", "Mn", "O", "O", "O", "O", "O", "O", "O", "O", "O", "O", "O", "O", "O", "O", "O", "O", "O", "O", "O", "O", "O", "O", "O", "O"], "frac_coords": [[0.249, 0.249, 0.751], [0.751, 0.249, 0.751], [0.751, 0.249, 0.249], [0.249, 0.751, 0.751], [0.751, 0.751, 0.751], [0.249, 0.751, 0.249], [0.751, 0.751, 0.249], [0.249, 0.249, 0.249], [0.499, 0.001, 0.001], [0.001, 0.001, 0.499], [0.499, 0.001, 0.499], [0.001, 0.499, 0.001], [0.499, 0.499, 0.001], [0.001, 0.499, 0.499], [0.499, 0.499, 0.499], [0.000, 0.000, 0.000], [0.002, 0.247, 0.002], [0.498, 0.249, 0.002], [0.002, 0.249, 0.498], [0.498, 0.250, 0.498], [0.000, 0.753, 0.000], [0.500, 0.751, 0.000], [0.000, 0.751, 0.500], [0.500, 0.750, 0.500], [0.000, 0.000, 0.753], [0.500, 0.000, 0.751], [0.002, 0.002, 0.247], [0.498, 0.002, 0.249], [0.000, 0.500, 0.751], [0.500, 0.500, 0.750], [0.002, 0.498, 0.249], [0.498, 0.498, 0.250], [0.247, 0.002, 0.002], [0.753, 0.000, 0.000], [0.249, 0.002, 0.498], [0.751, 0.000, 0.500], [0.249, 0.498, 0.002], [0.751, 0.500, 0.000], [0.250, 0.498, 0.498], [0.750, 0.500, 0.500]], "delta_e_f_ev_per_atom": -3.412, "energy_mp2020_ev_per_atom": -8.34, "space_group": "R3m (160)"}

# 6
{"formula": "MgMo2O7", "functional": "PBE with a Hubbard U", "state": "optimized geometry", "lattice": [[5.792, 0.000, 0.000], [0.000, 8.289, 0.000], [0.000, 6.522, 14.042]], "species": ["Mg", "Mg", "Mg", "Mg", "Mo", "Mo", "Mo", "Mo", "Mo", "Mo", "Mo", "Mo", "O", "O", "O", "O", "O", "O", "O", "O", "O", "O", "O", "O", "O", "O", "O", "O", "O", "O", "O", "O", "O", "O", "O", "O", "O", "O", "O", "O"], "frac_coords": [[0.127, 0.988, 0.909], [0.627, 0.012, 0.591], [0.873, 0.012, 0.091], [0.373, 0.988, 0.409], [0.364, 0.709, 0.126], [0.136, 0.709, 0.626], [0.636, 0.291, 0.874], [0.864, 0.291, 0.374], [0.626, 0.754, 0.861], [0.126, 0.246, 0.639], [0.374, 0.246, 0.139], [0.874, 0.754, 0.361], [0.680, 0.351, 0.754], [0.180, 0.649, 0.746], [0.320, 0.649, 0.246], [0.820, 0.351, 0.254], [0.867, 0.139, 0.938], [0.367, 0.861, 0.562], [0.133, 0.861, 0.062], [0.633, 0.139, 0.438], [0.371, 0.176, 0.904], [0.871, 0.824, 0.596], [0.629, 0.824, 0.096], [0.129, 0.176, 0.404], [0.111, 0.811, 0.415], [0.611, 0.189, 0.085], [0.889, 0.189, 0.585], [0.389, 0.811, 0.915], [0.885, 0.882, 0.237], [0.385, 0.118, 0.263], [0.115, 0.118, 0.763], [0.615, 0.882, 0.737], [0.629, 0.506, 0.893], [0.120, 0.190, 0.095], [0.380, 0.190, 0.595], [0.880, 0.810, 0.905], [0.871, 0.506, 0.393], [0.371, 0.494, 0.107], [0.129, 0.494, 0.607], [0.620, 0.810, 0.405]], "delta_e_f_ev_per_atom": -2.226, "polymorph_energy_mev_per_atom": 0.0, "energy_mp2020_ev_per_atom": -8.02, "space_group": "P2_1/c (14)"}

# 7
{"formula": "Ba3V2Ni6As4O24", "functional": "PBE with a Hubbard U", "state": "optimized geometry", "lattice": [[5.045, 0.000, 0.000], [-2.522, 1.456, 7.877], [2.522, -13.106, 0.000]], "species": ["Ba", "Ba", "Ba", "V", "V", "Ni", "Ni", "Ni", "Ni", "Ni", "Ni", "As", "As", "As", "As", "O", "O", "O", "O", "O", "O", "O", "O", "O", "O", "O", "O", "O", "O", "O", "O", "O", "O", "O", "O", "O", "O", "O", "O"], "frac_coords": [[0.000, 0.001, 0.000], [0.334, 0.000, 0.334], [0.667, 0.000, 0.666], [0.235, 0.279, 0.809], [0.569, 0.279, 0.142], [0.106, 0.492, 0.277], [0.442, 0.492, 0.610], [0.774, 0.492, 0.944], [0.891, 0.507, 0.723], [0.225, 0.507, 0.056], [0.560, 0.507, 0.390], [0.098, 0.720, 0.524], [0.431, 0.720, 0.858], [0.764, 0.720, 0.191], [0.902, 0.280, 0.476], [0.193, 0.935, 0.549], [0.527, 0.935, 0.882], [0.860, 0.935, 0.215], [0.807, 0.066, 0.452], [0.140, 0.064, 0.785], [0.473, 0.064, 0.118], [0.842, 0.654, 0.625], [0.175, 0.654, 0.958], [0.509, 0.653, 0.292], [0.967, 0.654, 0.406], [0.300, 0.653, 0.739], [0.634, 0.654, 0.072], [0.395, 0.653, 0.520], [0.729, 0.654, 0.854], [0.062, 0.654, 0.187], [0.158, 0.347, 0.375], [0.494, 0.347, 0.707], [0.828, 0.347, 0.040], [0.034, 0.347, 0.594], [0.368, 0.347, 0.929], [0.701, 0.347, 0.263], [0.604, 0.347, 0.480], [0.934, 0.347, 0.813], [0.267, 0.347, 0.146]], "delta_e_f_ev_per_atom": -2.059, "energy_mp2020_ev_per_atom": -7.08, "space_group": "P1 (1)"}

# 8
{"formula": "Li9Mn2Co5O16", "functional": "PBE with a Hubbard U", "state": "optimized geometry", "lattice": [[2.938, 0.000, 0.000], [0.000, 9.932, 0.000], [0.000, 1.949, 9.865]], "species": ["Li", "Li", "Li", "Li", "Li", "Li", "Li", "Li", "Li", "Mn", "Mn", "Co", "Co", "Co", "Co", "Co", "O", "O", "O", "O", "O", "O", "O", "O", "O", "O", "O", "O", "O", "O", "O", "O"], "frac_coords": [[0.500, 0.271, 0.618], [0.500, 0.729, 0.382], [0.500, 0.258, 0.120], [0.000, 0.263, 0.374], [0.000, 0.733, 0.125], [0.000, 0.267, 0.875], [0.500, 0.742, 0.880], [0.000, 0.737, 0.626], [0.000, 0.500, 0.500], [0.000, 0.001, 0.747], [0.000, 0.999, 0.253], [0.000, 0.500, 0.000], [0.500, 0.498, 0.263], [0.500, 0.000, 0.000], [0.500, 0.502, 0.737], [0.500, 0.000, 0.500], [0.500, 0.111, 0.795], [0.500, 0.623, 0.578], [0.500, 0.105, 0.316], [0.000, 0.105, 0.559], [0.000, 0.617, 0.308], [0.000, 0.112, 0.078], [0.500, 0.615, 0.066], [0.000, 0.613, 0.822], [0.500, 0.377, 0.422], [0.500, 0.889, 0.205], [0.500, 0.385, 0.934], [0.000, 0.387, 0.178], [0.000, 0.888, 0.922], [0.000, 0.383, 0.692], [0.500, 0.895, 0.684], [0.000, 0.895, 0.441]], "delta_e_f_ev_per_atom": -1.786, "polymorph_energy_mev_per_atom": 77.8, "energy_mp2020_ev_per_atom": -6.48, "space_group": "P2/m (10)"}

# 9
{"formula": "VH11C3Cl2O4", "functional": "PBE with a Hubbard U", "state": "optimized geometry", "lattice": [[-5.332, 5.019, 5.989], [-8.417, -0.198, -7.327], [0.983, -13.021, -0.776]], "species": ["V", "V", "V", "V", "H", "H", "H", "H", "H", "H", "H", "H", "H", "H", "H", "H", "H", "H", "H", "H", "H", "H", "H", "H", "H", "H", "H", "H", "H", "H", "H", "H", "H", "H", "H", "H", "H", "H", "H", "H", "H", "H", "H", "H", "H", "H", "H", "H", "C", "C", "C", "C", "C", "C", "C", "C", "C", "C", "C", "C", "Cl", "Cl", "Cl", "Cl", "Cl", "Cl", "Cl", "Cl", "O", "O", "O", "O", "O", "O", "O", "O", "O", "O", "O", "O", "O", "O", "O", "O"], "frac_coords": [[0.133, 0.807, 0.907], [0.133, 0.693, 0.407], [0.867, 0.193, 0.093], [0.867, 0.307, 0.593], [0.022, 0.574, 0.833], [0.022, 0.926, 0.333], [0.978, 0.426, 0.167], [0.978, 0.074, 0.667], [0.190, 0.738, 0.733], [0.190, 0.762, 0.233], [0.810, 0.262, 0.267], [0.810, 0.238, 0.767], [0.237, 0.104, 0.949], [0.237, 0.396, 0.449], [0.763, 0.896, 0.051], [0.763, 0.604, 0.551], [0.453, 0.057, 0.086], [0.453, 0.443, 0.586], [0.547, 0.943, 0.914], [0.547, 0.557, 0.414], [0.256, 0.028, 0.076], [0.256, 0.472, 0.576], [0.744, 0.972, 0.924], [0.744, 0.528, 0.424], [0.838, 0.646, 0.907], [0.838, 0.854, 0.407], [0.162, 0.354, 0.093], [0.162, 0.146, 0.593], [0.755, 0.544, 0.776], [0.755, 0.956, 0.276], [0.245, 0.456, 0.224], [0.245, 0.044, 0.724], [0.707, 0.701, 0.745], [0.707, 0.799, 0.245], [0.293, 0.299, 0.255], [0.293, 0.201, 0.755], [0.494, 0.643, 0.971], [0.494, 0.857, 0.471], [0.506, 0.357, 0.029], [0.506, 0.143, 0.529], [0.464, 0.662, 0.823], [0.464, 0.838, 0.323], [0.536, 0.338, 0.177], [0.536, 0.162, 0.677], [0.350, 0.543, 0.840], [0.350, 0.957, 0.340], [0.650, 0.457, 0.160], [0.650, 0.043, 0.660], [0.311, 0.034, 0.023], [0.311, 0.466, 0.523], [0.689, 0.966, 0.977], [0.689, 0.534, 0.477], [0.806, 0.634, 0.812], [0.806, 0.866, 0.312], [0.194, 0.366, 0.188], [0.194, 0.134, 0.688], [0.399, 0.635, 0.867], [0.399, 0.865, 0.367], [0.601, 0.365, 0.133], [0.601, 0.135, 0.633], [0.316, 0.677, 0.078], [0.316, 0.823, 0.578], [0.684, 0.323, 0.922], [0.684, 0.177, 0.422], [0.947, 0.880, 0.689], [0.947, 0.620, 0.189], [0.053, 0.120, 0.311], [0.053, 0.380, 0.811], [0.016, 0.857, 0.949], [0.016, 0.643, 0.449], [0.984, 0.143, 0.051], [0.984, 0.357, 0.551], [0.292, 0.924, 0.962], [0.292, 0.576, 0.462], [0.708, 0.076, 0.038], [0.708, 0.424, 0.538], [0.962, 0.652, 0.818], [0.962, 0.848, 0.318], [0.038, 0.348, 0.182], [0.038, 0.152, 0.682], [0.253, 0.716, 0.823], [0.253, 0.784, 0.323], [0.747, 0.284, 0.177], [0.747, 0.216, 0.677]], "delta_e_f_ev_per_atom": -0.756, "energy_mp2020_ev_per_atom": -5.40, "space_group": "P2_1/c (14)"}